A geometry-optimized SrFeO2 structure. Source: the Materials Project, functional PBE+U.

Calculated total energy, eV/atom: -6.3987
Formation enthalpy at 0 K, eV/f.u.: -9.17

Cell lengths 5.3525, 5.3525, 5.3525 Å; angles 64.82, 81.42, 115.18 degrees
Closest atoms and distances in Å follow each position.
Fractional coordinates of all 8 atoms:
Sr1 0.7500 0.5000 0.7500  8 O 2.68
Sr2 0.2500 0.5000 0.2500  8 O 2.68
Fe1 0.5000 0.0000 0.5000  4 O 2.03
Fe2 0.0000 0.0000 0.0000  4 O 2.03
O1 0.7500 0.0000 0.7500  2 Fe 2.03
O2 0.7500 0.5000 0.2500  2 Fe 2.03
O3 0.2500 0.0000 0.2500  2 Fe 2.03
O4 0.2500 0.5000 0.7500  2 Fe 2.03